# 1
Entry from the Materials Project: crystalline Rb4LiS4O16 at its relaxed geometry (PBE).

Cell: 7.853 7.853 30.345 Å, 90.00 90.00 90.00°
Atoms (fractional coordinates):
Rb1 0.884 0.939 0.465
Rb2 0.116 0.061 0.965
Rb3 0.939 0.116 0.215
Rb4 0.061 0.884 0.715
Rb5 0.389 0.631 0.454
Rb6 0.611 0.369 0.954
Rb7 0.631 0.611 0.204
Rb8 0.369 0.389 0.704
Rb9 0.980 0.467 0.834
Rb10 0.020 0.533 0.334
Rb11 0.467 0.020 0.584
Rb12 0.533 0.980 0.084
Rb13 0.478 0.776 0.826
Rb14 0.522 0.224 0.326
Rb15 0.776 0.522 0.576
Rb16 0.224 0.478 0.076
Li1 0.871 0.719 0.020
Li2 0.129 0.281 0.520
Li3 0.719 0.129 0.770
Li4 0.281 0.871 0.270
S1 0.128 0.541 0.953
S2 0.872 0.459 0.453
S3 0.541 0.872 0.703
S4 0.459 0.128 0.203
S5 0.120 0.595 0.207
S6 0.880 0.405 0.707
S7 0.595 0.880 0.957
S8 0.405 0.120 0.457
S9 0.994 0.961 0.836
S10 0.006 0.039 0.336
S11 0.961 0.006 0.586
S12 0.039 0.994 0.086
S13 0.700 0.458 0.085
S14 0.300 0.542 0.585
S15 0.458 0.300 0.835
S16 0.542 0.700 0.335
O1 0.252 0.428 0.975
O2 0.748 0.572 0.475
O3 0.428 0.748 0.725
O4 0.572 0.252 0.225
O5 0.205 0.617 0.912
O6 0.795 0.383 0.412
O7 0.617 0.795 0.662
O8 0.383 0.205 0.162
O9 0.076 0.679 0.984
O10 0.924 0.321 0.484
O11 0.679 0.924 0.734
O12 0.321 0.076 0.234
O13 0.977 0.441 0.938
O14 0.023 0.559 0.438
O15 0.441 0.023 0.688
O16 0.559 0.977 0.188
O17 0.254 0.655 0.237
O18 0.746 0.345 0.737
O19 0.655 0.746 0.987
O20 0.345 0.254 0.487
O21 0.021 0.740 0.188
O22 0.979 0.260 0.688
O23 0.740 0.979 0.938
O24 0.260 0.021 0.438
O25 0.998 0.483 0.231
O26 0.002 0.517 0.731
O27 0.483 0.002 0.981
O28 0.517 0.998 0.481
O29 0.199 0.503 0.170
O30 0.801 0.497 0.670
O31 0.503 0.801 0.920
O32 0.497 0.199 0.420
O33 0.111 0.837 0.815
O34 0.889 0.163 0.315
O35 0.837 0.889 0.565
O36 0.163 0.111 0.065
O37 0.847 0.865 0.854
O38 0.153 0.135 0.354
O39 0.865 0.153 0.604
O40 0.135 0.847 0.104
O41 0.078 0.053 0.872
O42 0.922 0.947 0.372
O43 0.053 0.922 0.622
O44 0.947 0.078 0.122
O45 0.935 0.086 0.802
O46 0.065 0.914 0.302
O47 0.086 0.065 0.552
O48 0.914 0.935 0.052
O49 0.598 0.608 0.099
O50 0.402 0.392 0.599
O51 0.608 0.402 0.849
O52 0.392 0.598 0.349
O53 0.845 0.511 0.056
O54 0.155 0.489 0.556
O55 0.511 0.155 0.806
O56 0.489 0.845 0.306
O57 0.767 0.378 0.126
O58 0.233 0.622 0.626
O59 0.378 0.233 0.876
O60 0.622 0.767 0.376
O61 0.591 0.337 0.060
O62 0.409 0.663 0.560
O63 0.337 0.409 0.810
O64 0.663 0.591 0.310

Output
The total energy is -5.6152 eV per atom. As for the volume: 1871 Å³ per cell. The spin magnetization comes out at 12.0 Bohr magnetons per cell. As for the space group: P4_1 (76).

***

# 2
Entry from the Materials Project: crystalline LiSiBiO4 at its relaxed geometry (PBE).

Cell: 8.675 8.675 8.675 Å, 103.18 103.18 103.18°
Atoms (fractional coordinates):
Li1 0.440 0.036 0.189
Li2 0.811 0.560 0.964
Li3 0.964 0.811 0.560
Li4 0.036 0.189 0.440
Li5 0.189 0.440 0.036
Li6 0.560 0.964 0.811
Si1 0.913 0.145 0.746
Si2 0.855 0.254 0.087
Si3 0.254 0.087 0.855
Si4 0.746 0.913 0.145
Si5 0.145 0.746 0.913
Si6 0.087 0.855 0.254
Bi1 0.811 0.456 0.556
Bi2 0.444 0.189 0.544
Bi3 0.544 0.444 0.189
Bi4 0.456 0.556 0.811
Bi5 0.556 0.811 0.456
Bi6 0.189 0.544 0.444
O1 0.955 0.262 0.942
O2 0.738 0.058 0.045
O3 0.930 0.257 0.621
O4 0.743 0.379 0.070
O5 0.010 0.693 0.732
O6 0.558 0.280 0.335
O7 0.379 0.070 0.743
O8 0.665 0.442 0.720
O9 0.268 0.990 0.307
O10 0.307 0.268 0.990
O11 0.720 0.665 0.442
O12 0.058 0.045 0.738
O13 0.942 0.955 0.262
O14 0.280 0.335 0.558
O15 0.693 0.732 0.010
O16 0.732 0.010 0.693
O17 0.335 0.558 0.280
O18 0.621 0.930 0.257
O19 0.442 0.720 0.665
O20 0.990 0.307 0.268
O21 0.257 0.621 0.930
O22 0.070 0.743 0.379
O23 0.262 0.942 0.955
O24 0.045 0.738 0.058

Output
The total energy is -6.5160 eV per atom. As for the volume: 591 Å³ per cell. The spin magnetization comes out at 0.0 Bohr magnetons per cell. For the energy above the most stable polymorph in this dataset, the calculation gives 0.33 eV/f.u. As for the space group: R-3 (148).

***

# 3
Entry from the Materials Project: crystalline BaC2O6 at its relaxed geometry (PBE).

Cell: 10.724 7.097 7.987 Å, 80.62 90.00 90.00°
Atoms (fractional coordinates):
Ba1 0.514 0.731 0.682
Ba2 0.486 0.269 0.318
Ba3 0.014 0.769 0.318
Ba4 0.986 0.231 0.682
C1 0.749 0.985 0.446
C2 0.251 0.015 0.554
C3 0.249 0.515 0.554
C4 0.751 0.485 0.446
C5 0.702 0.916 0.280
C6 0.298 0.084 0.720
C7 0.202 0.584 0.720
C8 0.798 0.416 0.280
O1 0.866 0.998 0.469
O2 0.134 0.002 0.531
O3 0.366 0.502 0.531
O4 0.634 0.498 0.469
O5 0.781 0.839 0.196
O6 0.219 0.161 0.804
O7 0.281 0.661 0.804
O8 0.719 0.339 0.196
O9 0.834 0.525 0.549
O10 0.166 0.475 0.451
O11 0.334 0.975 0.451
O12 0.666 0.025 0.549
O13 0.427 0.710 0.098
O14 0.573 0.290 0.902
O15 0.927 0.790 0.902
O16 0.073 0.210 0.098
O17 0.587 0.942 0.247
O18 0.413 0.058 0.753
O19 0.087 0.558 0.753
O20 0.913 0.442 0.247
O21 0.323 0.766 0.138
O22 0.677 0.234 0.862
O23 0.823 0.734 0.862
O24 0.177 0.266 0.138

Output
The total energy is -6.8964 eV per atom. As for the volume: 600 Å³ per cell. The spin magnetization comes out at 8.0 Bohr magnetons per cell. As for the space group: P2_1/c (14).

***

# 4
Entry from the Materials Project: crystalline Na2SnAs2 at its relaxed geometry (PBE).

Cell: 14.840 14.840 14.840 Å, 122.12 122.12 86.36°
Atoms (fractional coordinates):
Na1 0.900 0.900 0.299
Na2 0.789 0.067 0.043
Na3 0.755 0.477 0.043
Na4 0.461 0.005 0.778
Na5 0.523 0.567 0.278
Na6 0.495 0.039 0.222
Na7 0.433 0.711 0.957
Na8 0.350 0.150 0.500
Na9 0.900 0.600 0.500
Na10 0.100 0.400 0.000
Na11 0.100 0.400 0.500
Na12 0.400 0.100 0.000
Na13 0.850 0.350 0.201
Na14 0.650 0.850 0.500
Na15 0.995 0.773 0.457
Na16 0.317 0.539 0.543
Na17 0.350 0.350 0.200
Na18 0.850 0.650 0.000
Na19 0.150 0.650 0.799
Na20 0.023 0.745 0.957
Na21 0.650 0.850 0.000
Na22 0.227 0.683 0.222
Na23 0.961 0.183 0.457
Na24 0.150 0.150 0.800
Na25 0.400 0.900 0.300
Na26 0.727 0.505 0.543
Na27 0.289 0.245 0.722
Na28 0.933 0.977 0.722
Na29 0.600 0.600 0.701
Na30 0.255 0.211 0.278
Na31 0.817 0.273 0.778
Na32 0.600 0.100 0.700
Sn1 0.650 0.689 0.201
Sn2 0.939 0.400 0.701
Sn3 0.262 0.801 0.701
Sn4 0.199 0.900 0.462
Sn5 0.811 0.850 0.799
Sn6 0.762 0.061 0.462
Sn7 0.600 0.301 0.538
Sn8 0.311 0.512 0.962
Sn9 0.699 0.238 0.299
Sn10 0.439 0.738 0.538
Sn11 0.100 0.561 0.299
Sn12 0.051 0.012 0.201
Sn13 0.488 0.449 0.799
Sn14 0.150 0.949 0.962
Sn15 0.988 0.189 0.038
Sn16 0.551 0.350 0.038
As1 0.308 0.875 0.933
As2 0.942 0.375 0.067
As3 0.790 0.038 0.822
As4 0.960 0.212 0.678
As5 0.898 0.398 0.500
As6 0.125 0.058 0.433
As7 0.534 0.282 0.322
As8 0.648 0.648 0.000
As9 0.808 0.875 0.433
As10 0.852 0.852 0.000
As11 0.532 0.284 0.822
As12 0.788 0.466 0.747
As13 0.034 0.712 0.253
As14 0.148 0.148 0.000
As15 0.032 0.210 0.247
As16 0.718 0.040 0.253
As17 0.962 0.784 0.753
As18 0.288 0.540 0.322
As19 0.102 0.602 0.500
As20 0.625 0.692 0.567
As21 0.442 0.375 0.567
As22 0.602 0.102 0.500
As23 0.218 0.966 0.678
As24 0.125 0.558 0.933
As25 0.398 0.898 0.500
As26 0.625 0.192 0.067
As27 0.716 0.538 0.247
As28 0.352 0.352 0.000
As29 0.216 0.968 0.178
As30 0.460 0.782 0.747
As31 0.462 0.710 0.178
As32 0.290 0.468 0.753

Output
The total energy is -3.5452 eV per atom. As for the volume: 2232 Å³ per cell. The spin magnetization comes out at 0.0 Bohr magnetons per cell. As for the space group: I4_1/acd (142).

***

# 5
Entry from the Materials Project: crystalline Sr3Nd4O9 at its relaxed geometry (PBE).

Cell: 6.885 6.885 13.270 Å, 68.38 68.38 63.34°
Atoms (fractional coordinates):
Sr1 0.633 0.357 0.381
Sr2 0.357 0.633 0.881
Sr3 0.038 0.154 0.727
Sr4 0.154 0.038 0.227
Sr5 0.160 0.834 0.500
Sr6 0.834 0.160 0.000
Nd1 0.589 0.854 0.586
Nd2 0.854 0.589 0.086
Nd3 0.912 0.669 0.791
Nd4 0.669 0.912 0.291
Nd5 0.039 0.438 0.449
Nd6 0.438 0.039 0.949
Nd7 0.329 0.506 0.168
Nd8 0.506 0.329 0.668
O1 0.942 0.837 0.907
O2 0.837 0.942 0.407
O3 0.135 0.298 0.848
O4 0.298 0.135 0.348
O5 0.163 0.884 0.079
O6 0.884 0.163 0.579
O7 0.362 0.238 0.558
O8 0.238 0.362 0.058
O9 0.621 0.292 0.824
O10 0.292 0.621 0.324
O11 0.542 0.928 0.766
O12 0.928 0.542 0.266
O13 0.630 0.600 0.980
O14 0.600 0.630 0.480
O15 0.928 0.592 0.623
O16 0.592 0.928 0.123
O17 0.272 0.724 0.688
O18 0.724 0.272 0.188

Output
The total energy is -7.3631 eV per atom. As for the volume: 507 Å³ per cell. The spin magnetization comes out at 0.0 Bohr magnetons per cell. For the energy above the most stable polymorph in this dataset, the calculation gives 0.00 eV/f.u. As for the space group: Cc (9).

***

# 6
Entry from the Materials Project: crystalline Sr2I2F at its relaxed geometry (PBE).

Cell: 5.348 5.348 14.944 Å, 90.00 90.00 90.00°
Atoms (fractional coordinates):
Sr1 0.500 0.500 0.154
Sr2 0.500 0.500 0.846
I1 0.500 0.500 0.649
I2 0.500 0.500 0.351
F1 0.500 0.500 0.000

Output
The total energy is -3.0325 eV per atom. As for the volume: 427 Å³ per cell. The spin magnetization comes out at 0.0 Bohr magnetons per cell. As for the space group: P4/mmm (123).

***

# 7
Entry from the Materials Project: crystalline LaZnNi at its relaxed geometry (PBE).

Cell: 7.267 7.267 3.943 Å, 90.00 90.00 120.00°
Atoms (fractional coordinates):
La1 0.000 0.584 0.000
La2 0.416 0.416 0.000
La3 0.584 0.000 0.000
Zn1 0.229 0.000 0.500
Zn2 0.771 0.771 0.500
Zn3 0.000 0.229 0.500
Ni1 0.000 0.000 0.000
Ni2 0.667 0.333 0.500
Ni3 0.333 0.667 0.500

Output
The total energy is -4.3838 eV per atom. As for the volume: 180 Å³ per cell. As for the space group: P-62m (189).

***

# 8
Entry from the Materials Project: crystalline Tb2Se2O7 at its relaxed geometry (PBE).

Cell: 10.709 10.709 5.286 Å, 90.00 90.00 90.00°
Atoms (fractional coordinates):
Tb1 0.122 0.878 0.750
Tb2 0.378 0.378 0.250
Tb3 0.622 0.622 0.250
Tb4 0.878 0.122 0.750
Tb5 0.378 0.622 0.750
Tb6 0.122 0.122 0.250
Tb7 0.878 0.878 0.250
Tb8 0.622 0.378 0.750
Se1 0.622 0.122 0.214
Se2 0.378 0.878 0.214
Se3 0.378 0.122 0.714
Se4 0.622 0.878 0.714
Se5 0.122 0.622 0.286
Se6 0.122 0.378 0.786
Se7 0.878 0.622 0.786
Se8 0.878 0.378 0.286
O1 0.753 0.930 0.878
O2 0.247 0.070 0.878
O3 0.570 0.253 0.378
O4 0.430 0.747 0.378
O5 0.930 0.753 0.622
O6 0.253 0.570 0.122
O7 0.747 0.430 0.122
O8 0.070 0.247 0.622
O9 0.747 0.570 0.622
O10 0.253 0.430 0.622
O11 0.930 0.247 0.122
O12 0.070 0.753 0.122
O13 0.570 0.747 0.878
O14 0.247 0.930 0.378
O15 0.753 0.070 0.378
O16 0.430 0.253 0.878
O17 0.000 0.000 0.500
O18 0.500 0.500 0.000
O19 0.500 0.500 0.500
O20 0.000 0.000 0.000
O21 0.814 0.314 0.560
O22 0.814 0.686 0.060
O23 0.186 0.314 0.060
O24 0.186 0.686 0.560
O25 0.686 0.814 0.440
O26 0.314 0.186 0.440
O27 0.314 0.814 0.940
O28 0.686 0.186 0.940

Output
The total energy is -6.7841 eV per atom. As for the volume: 606 Å³ per cell. As for the space group: P4_2/ncm (138).

***

# 9
Entry from the Materials Project: crystalline Pb2OF2 at its relaxed geometry (PBE).

Cell: 6.130 8.167 8.274 Å, 90.00 90.00 90.00°
Atoms (fractional coordinates):
Pb1 0.214 0.740 0.000
Pb2 0.693 0.500 0.250
Pb3 0.693 0.500 0.750
Pb4 0.214 0.260 0.000
Pb5 0.283 0.241 0.500
Pb6 0.283 0.759 0.500
Pb7 0.749 0.000 0.249
Pb8 0.749 0.000 0.751
O1 0.572 0.500 0.000
O2 0.167 0.000 0.000
O3 0.629 0.000 0.500
O4 0.412 0.500 0.500
F1 0.476 0.229 0.771
F2 0.476 0.771 0.229
F3 0.476 0.771 0.771
F4 0.984 0.256 0.715
F5 0.984 0.256 0.285
F6 0.984 0.744 0.285
F7 0.984 0.744 0.715
F8 0.476 0.229 0.229

Output
The total energy is -5.0210 eV per atom. As for the volume: 414 Å³ per cell. The spin magnetization comes out at 0.0 Bohr magnetons per cell. As for the space group: Pmm2 (25).

***

# 10
Entry from the Materials Project: crystalline BaAlSiH at its relaxed geometry (PBE).

Cell: 4.334 4.334 5.263 Å, 90.00 90.00 120.00°
Atoms (fractional coordinates):
Ba1 0.000 0.000 0.000
Al1 0.667 0.333 0.465
Si1 0.333 0.667 0.542
H1 0.667 0.333 0.135

Output
The total energy is -4.0541 eV per atom. As for the volume: 86 Å³ per cell. As for the maximum piezoelectric response: 0.5 C/m2. The spin magnetization comes out at 0.0 Bohr magnetons per cell. As for the space group: P3m1 (156).

***

Please write out number 8 again, unchanged.
Entry from the Materials Project: crystalline Tb2Se2O7 at its relaxed geometry (PBE).

Cell: 10.709 10.709 5.286 Å, 90.00 90.00 90.00°
Atoms (fractional coordinates):
Tb1 0.122 0.878 0.750
Tb2 0.378 0.378 0.250
Tb3 0.622 0.622 0.250
Tb4 0.878 0.122 0.750
Tb5 0.378 0.622 0.750
Tb6 0.122 0.122 0.250
Tb7 0.878 0.878 0.250
Tb8 0.622 0.378 0.750
Se1 0.622 0.122 0.214
Se2 0.378 0.878 0.214
Se3 0.378 0.122 0.714
Se4 0.622 0.878 0.714
Se5 0.122 0.622 0.286
Se6 0.122 0.378 0.786
Se7 0.878 0.622 0.786
Se8 0.878 0.378 0.286
O1 0.753 0.930 0.878
O2 0.247 0.070 0.878
O3 0.570 0.253 0.378
O4 0.430 0.747 0.378
O5 0.930 0.753 0.622
O6 0.253 0.570 0.122
O7 0.747 0.430 0.122
O8 0.070 0.247 0.622
O9 0.747 0.570 0.622
O10 0.253 0.430 0.622
O11 0.930 0.247 0.122
O12 0.070 0.753 0.122
O13 0.570 0.747 0.878
O14 0.247 0.930 0.378
O15 0.753 0.070 0.378
O16 0.430 0.253 0.878
O17 0.000 0.000 0.500
O18 0.500 0.500 0.000
O19 0.500 0.500 0.500
O20 0.000 0.000 0.000
O21 0.814 0.314 0.560
O22 0.814 0.686 0.060
O23 0.186 0.314 0.060
O24 0.186 0.686 0.560
O25 0.686 0.814 0.440
O26 0.314 0.186 0.440
O27 0.314 0.814 0.940
O28 0.686 0.186 0.940

Output
The total energy is -6.7841 eV per atom. As for the volume: 606 Å³ per cell. As for the space group: P4_2/ncm (138).

***

Repeat the fourth record exactly.
Entry from the Materials Project: crystalline Na2SnAs2 at its relaxed geometry (PBE).

Cell: 14.840 14.840 14.840 Å, 122.12 122.12 86.36°
Atoms (fractional coordinates):
Na1 0.900 0.900 0.299
Na2 0.789 0.067 0.043
Na3 0.755 0.477 0.043
Na4 0.461 0.005 0.778
Na5 0.523 0.567 0.278
Na6 0.495 0.039 0.222
Na7 0.433 0.711 0.957
Na8 0.350 0.150 0.500
Na9 0.900 0.600 0.500
Na10 0.100 0.400 0.000
Na11 0.100 0.400 0.500
Na12 0.400 0.100 0.000
Na13 0.850 0.350 0.201
Na14 0.650 0.850 0.500
Na15 0.995 0.773 0.457
Na16 0.317 0.539 0.543
Na17 0.350 0.350 0.200
Na18 0.850 0.650 0.000
Na19 0.150 0.650 0.799
Na20 0.023 0.745 0.957
Na21 0.650 0.850 0.000
Na22 0.227 0.683 0.222
Na23 0.961 0.183 0.457
Na24 0.150 0.150 0.800
Na25 0.400 0.900 0.300
Na26 0.727 0.505 0.543
Na27 0.289 0.245 0.722
Na28 0.933 0.977 0.722
Na29 0.600 0.600 0.701
Na30 0.255 0.211 0.278
Na31 0.817 0.273 0.778
Na32 0.600 0.100 0.700
Sn1 0.650 0.689 0.201
Sn2 0.939 0.400 0.701
Sn3 0.262 0.801 0.701
Sn4 0.199 0.900 0.462
Sn5 0.811 0.850 0.799
Sn6 0.762 0.061 0.462
Sn7 0.600 0.301 0.538
Sn8 0.311 0.512 0.962
Sn9 0.699 0.238 0.299
Sn10 0.439 0.738 0.538
Sn11 0.100 0.561 0.299
Sn12 0.051 0.012 0.201
Sn13 0.488 0.449 0.799
Sn14 0.150 0.949 0.962
Sn15 0.988 0.189 0.038
Sn16 0.551 0.350 0.038
As1 0.308 0.875 0.933
As2 0.942 0.375 0.067
As3 0.790 0.038 0.822
As4 0.960 0.212 0.678
As5 0.898 0.398 0.500
As6 0.125 0.058 0.433
As7 0.534 0.282 0.322
As8 0.648 0.648 0.000
As9 0.808 0.875 0.433
As10 0.852 0.852 0.000
As11 0.532 0.284 0.822
As12 0.788 0.466 0.747
As13 0.034 0.712 0.253
As14 0.148 0.148 0.000
As15 0.032 0.210 0.247
As16 0.718 0.040 0.253
As17 0.962 0.784 0.753
As18 0.288 0.540 0.322
As19 0.102 0.602 0.500
As20 0.625 0.692 0.567
As21 0.442 0.375 0.567
As22 0.602 0.102 0.500
As23 0.218 0.966 0.678
As24 0.125 0.558 0.933
As25 0.398 0.898 0.500
As26 0.625 0.192 0.067
As27 0.716 0.538 0.247
As28 0.352 0.352 0.000
As29 0.216 0.968 0.178
As30 0.460 0.782 0.747
As31 0.462 0.710 0.178
As32 0.290 0.468 0.753

Output
The total energy is -3.5452 eV per atom. As for the volume: 2232 Å³ per cell. The spin magnetization comes out at 0.0 Bohr magnetons per cell. As for the space group: I4_1/acd (142).